No. 1
A plane-wave DFT calculation with PBE+U was carried out for a relaxed RbFeF3 crystal.

Structure (POSCAR):
```
RbFeF3
1.0
4.221 0.000 0.000
0.000 4.221 0.000
0.000 0.000 4.221
Rb Fe F
1 1 3
Cartesian
0.000 0.000 0.000 Rb
2.110 2.110 2.110 Fe
0.000 2.110 2.110 F
2.110 0.000 2.110 F
2.110 2.110 0.000 F
```

Results
Formation energy (eV/atom): -2.49
Corrected total energy (MP2020 scheme) (eV/atom): -5.529
Energy (eV for the cell shown): -24.00



No. 2
A plane-wave DFT calculation with PBE+U was carried out for a relaxed Na4MgMo2O8 crystal.

Structure (POSCAR):
```
Na4MgMo2O8
1.0
6.496 0.000 0.000
-1.343 6.560 0.000
-2.556 -3.288 5.668
Na Mg Mo O
4 1 2 8
Cartesian
0.000 0.000 0.000 Na
-1.937 4.483 2.575 Na
2.110 5.955 0.014 Na
4.089 1.453 2.583 Na
-1.489 -0.315 5.226 Mg
1.070 2.964 2.406 Mo
1.756 -0.313 5.027 Mo
-0.524 2.755 3.296 O
1.261 1.633 1.029 O
0.110 -0.502 4.103 O
0.872 4.301 1.038 O
4.540 1.398 0.313 O
4.080 4.553 0.308 O
2.669 3.174 3.289 O
3.404 -0.128 4.107 O
```

Results
Formation energy (eV/atom): -2.05
Corrected total energy (MP2020 scheme) (eV/atom): -6.590
E above lowest polymorph (meV per atom): 0
Energy (eV for the cell shown): -86.94



No. 3
A plane-wave DFT calculation with PBE+U was carried out for a relaxed LiTl4Ni4O12 crystal.

Structure (POSCAR):
```
LiTl4Ni4O12
1.0
5.601 0.000 0.000
0.603 5.569 0.000
0.184 0.133 7.622
Li Tl Ni O
1 4 4 12
Cartesian
0.000 0.000 0.000 Li
1.466 2.075 0.013 Tl
1.531 1.481 3.836 Tl
4.301 4.529 7.457 Tl
4.614 4.279 3.709 Tl
1.811 4.515 5.607 Ni
1.750 4.556 1.975 Ni
4.226 1.710 1.909 Ni
4.363 1.711 5.691 Ni
0.454 0.781 5.937 O
0.387 0.772 1.586 O
1.225 4.792 3.763 O
2.005 4.296 0.052 O
2.523 2.798 2.237 O
2.682 2.706 5.483 O
2.938 0.121 2.406 O
3.652 5.470 5.338 O
3.893 1.343 7.583 O
4.860 2.070 3.832 O
5.331 3.476 1.464 O
5.691 3.441 6.136 O
```

Results
Formation energy (eV/atom): -0.96
Corrected total energy (MP2020 scheme) (eV/atom): -5.433
E above lowest polymorph (meV per atom): 28
Energy (eV for the cell shown): -95.69



No. 4
A plane-wave DFT calculation with PBE+U was carried out for a relaxed Na7Cr3CoP6O24 crystal.

Structure (POSCAR):
```
Na7Cr3CoP6O24
1.0
8.886 0.000 0.000
4.435 7.700 0.000
4.434 -2.552 14.509
Na Cr Co P O
14 6 2 12 48
Cartesian
0.000 0.000 0.000 Na
4.425 2.498 7.234 Na
6.094 4.876 5.423 Na
6.155 -0.268 12.618 Na
3.255 -0.514 3.639 Na
10.482 5.559 9.858 Na
6.108 2.952 2.615 Na
8.856 3.263 6.244 Na
10.405 2.284 9.122 Na
6.053 -0.216 1.694 Na
12.113 1.365 11.846 Na
12.122 6.531 4.539 Na
10.483 4.131 0.931 Na
10.553 -0.969 8.205 Na
8.650 1.217 13.666 Cr
7.862 0.780 8.008 Cr
7.900 5.936 0.678 Cr
13.128 3.813 10.151 Cr
12.286 -1.808 11.598 Cr
12.302 3.321 4.323 Cr
8.672 6.383 6.517 Co
8.698 1.246 2.839 Co
4.729 0.474 9.370 P
4.747 5.566 2.061 P
7.337 4.065 8.758 P
2.930 1.517 1.427 P
6.028 1.225 5.092 P
10.473 3.789 12.370 P
9.173 -0.592 10.859 P
9.173 4.551 3.570 P
11.768 0.062 14.448 P
11.800 5.149 7.228 P
10.457 0.773 5.733 P
14.931 3.356 12.976 P
10.303 1.350 1.576 O
2.354 -0.542 5.924 O
6.824 2.021 13.179 O
4.591 -0.358 10.690 O
4.606 4.719 3.379 O
3.995 -0.156 8.186 O
4.112 4.883 0.832 O
8.012 4.801 9.938 O
3.574 2.184 2.691 O
7.452 4.876 7.439 O
3.100 2.398 0.160 O
5.234 2.582 4.954 O
9.664 5.114 12.181 O
6.246 0.576 9.130 O
6.282 5.740 1.893 O
5.099 0.028 5.282 O
3.681 0.155 1.337 O
8.097 2.723 8.560 O
9.611 2.533 12.533 O
11.346 4.040 13.610 O
8.434 5.171 4.778 O
8.439 0.026 12.056 O
6.940 1.467 6.334 O
10.265 0.257 14.233 O
10.289 5.218 7.040 O
6.806 0.967 3.786 O
11.290 3.534 11.056 O
9.065 5.521 2.341 O
9.066 0.317 9.587 O
8.507 3.201 3.316 O
12.943 5.739 10.580 O
8.015 -1.158 7.433 O
8.044 3.984 0.155 O
7.476 1.643 1.127 O
12.008 4.193 8.454 O
9.674 1.108 7.056 O
14.146 3.616 14.301 O
10.713 4.420 3.801 O
10.711 -0.717 11.055 O
9.538 0.542 4.537 O
13.976 3.128 11.787 O
12.518 -0.554 13.213 O
12.560 4.549 5.991 O
12.904 1.856 9.577 O
11.381 2.020 5.540 O
12.865 6.891 2.242 O
15.870 4.566 12.791 O
14.698 3.900 8.967 O
```

Results
Formation energy (eV/atom): -2.55
Corrected total energy (MP2020 scheme) (eV/atom): -7.347
Energy (eV for the cell shown): -554.17



No. 5
A plane-wave DFT calculation with PBE+U was carried out for a relaxed TiNiO3 crystal.

Structure (POSCAR):
```
TiNiO3
1.0
5.057 0.000 0.000
-2.509 4.891 0.000
-0.035 -0.811 12.569
Ti Ni O
6 6 18
Cartesian
0.000 0.000 0.000 Ti
-2.477 4.419 6.428 Ti
0.011 0.283 2.977 Ti
0.109 2.659 8.406 Ti
-0.021 3.004 11.362 Ti
2.521 1.359 4.243 Ti
0.005 -0.044 9.264 Ni
0.005 3.037 2.133 Ni
-0.003 3.481 5.045 Ni
2.501 0.882 10.493 Ni
2.510 1.683 7.173 Ni
2.545 2.138 0.884 Ni
-1.672 3.447 7.962 O
-0.760 1.795 10.144 O
-0.955 3.494 0.378 O
0.949 -0.480 11.027 O
0.715 1.226 1.260 O
-0.816 4.466 3.353 O
1.647 0.309 5.896 O
0.854 2.073 3.823 O
1.470 1.337 8.841 O
0.961 3.104 6.789 O
0.719 3.937 9.611 O
1.675 2.312 11.776 O
3.341 -0.098 12.200 O
1.832 3.945 1.790 O
4.130 -0.049 4.653 O
3.500 1.663 2.668 O
3.236 2.600 5.401 O
4.319 0.821 7.478 O
```

Results
Formation energy (eV/atom): -2.58
Corrected total energy (MP2020 scheme) (eV/atom): -8.282
Energy (eV for the cell shown): -220.85



No. 6
A plane-wave DFT calculation with PBE+U was carried out for a relaxed Ca3CoRhO6 crystal.

Structure (POSCAR):
```
Ca3CoRhO6
1.0
6.495 0.000 0.000
-0.404 8.959 0.000
-0.022 -0.041 9.256
Ca Co Rh O
12 4 4 24
Cartesian
0.000 0.000 0.000 Ca
6.280 4.451 4.628 Ca
1.201 5.701 1.234 Ca
1.399 1.187 5.860 Ca
2.014 7.308 4.180 Ca
2.213 2.810 8.788 Ca
3.025 4.456 5.858 Ca
3.243 -0.003 1.241 Ca
4.643 1.213 4.623 Ca
4.438 5.661 9.248 Ca
5.465 2.847 1.692 Ca
5.268 7.307 6.315 Ca
2.208 2.854 2.856 Co
2.030 7.286 7.573 Co
5.272 7.306 2.997 Co
5.472 2.804 7.611 Co
0.483 5.051 7.542 Rh
0.697 0.601 2.927 Rh
3.924 0.590 7.552 Rh
3.740 5.080 2.924 Rh
-0.070 3.898 9.123 O
-0.256 8.388 4.494 O
0.278 2.300 3.899 O
0.101 6.787 8.495 O
0.881 3.337 6.581 O
0.706 7.856 1.951 O
1.024 6.195 5.968 O
1.242 1.777 1.362 O
1.814 4.816 3.523 O
2.008 0.366 8.170 O
2.612 0.839 3.530 O
2.399 5.279 8.165 O
2.983 8.420 5.972 O
3.225 3.958 1.332 O
3.353 6.795 1.956 O
3.559 2.314 6.595 O
3.894 7.806 8.510 O
4.128 3.364 3.890 O
4.256 6.206 4.518 O
4.457 1.706 9.149 O
5.276 0.362 2.321 O
5.063 4.825 6.938 O
5.851 0.831 6.943 O
5.666 5.341 2.318 O
```

Results
Formation energy (eV/atom): -2.37
Corrected total energy (MP2020 scheme) (eV/atom): -6.930
E above lowest polymorph (meV per atom): 1
Energy (eV for the cell shown): -281.86